Entry 1:
## Tl3PdCl5 (PBE)

Data for a relaxed structure of Tl3PdCl5.

Results
As for the MP2020-corrected energy: -3.59 eV/atom. The magnetization is 0.00 μB per formula unit. The formation enthalpy at 0 K comes out at -1.20 eV per atom.

a b c (Å): 7.790 16.710 16.770
angles (deg): 90.00 90.00 90.00
Fractional coordinates of all 72 atoms:
Tl 0.874 0.059 0.194
Tl 0.374 0.441 0.806
Tl 0.126 0.559 0.306
Tl 0.626 0.941 0.694
Tl 0.126 0.941 0.806
Tl 0.626 0.559 0.194
Tl 0.874 0.441 0.694
Tl 0.374 0.059 0.306
Tl 0.111 0.403 0.086
Tl 0.611 0.097 0.914
Tl 0.889 0.903 0.414
Tl 0.389 0.597 0.586
Tl 0.889 0.597 0.914
Tl 0.389 0.903 0.086
Tl 0.111 0.097 0.586
Tl 0.611 0.403 0.414
Tl 0.589 0.296 0.150
Tl 0.089 0.204 0.850
Tl 0.411 0.796 0.350
Tl 0.911 0.704 0.650
Tl 0.411 0.704 0.850
Tl 0.911 0.796 0.150
Tl 0.589 0.204 0.650
Tl 0.089 0.296 0.350
Pd 0.192 0.142 0.072
Pd 0.692 0.358 0.928
Pd 0.808 0.642 0.428
Pd 0.308 0.858 0.572
Pd 0.808 0.858 0.928
Pd 0.308 0.642 0.072
Pd 0.192 0.358 0.572
Pd 0.692 0.142 0.428
Cl 0.374 0.427 0.238
Cl 0.874 0.073 0.762
Cl 0.626 0.927 0.262
Cl 0.126 0.573 0.738
Cl 0.626 0.573 0.762
Cl 0.126 0.927 0.238
Cl 0.374 0.073 0.738
Cl 0.874 0.427 0.262
Cl 0.933 0.196 0.026
Cl 0.433 0.304 0.974
Cl 0.067 0.696 0.474
Cl 0.567 0.804 0.526
Cl 0.067 0.804 0.974
Cl 0.567 0.696 0.026
Cl 0.933 0.304 0.526
Cl 0.433 0.196 0.474
Cl 0.708 0.443 0.038
Cl 0.208 0.057 0.962
Cl 0.292 0.943 0.462
Cl 0.792 0.557 0.538
Cl 0.292 0.557 0.962
Cl 0.792 0.943 0.038
Cl 0.708 0.057 0.538
Cl 0.208 0.443 0.462
Cl 0.184 0.226 0.181
Cl 0.684 0.274 0.819
Cl 0.816 0.726 0.319
Cl 0.316 0.774 0.681
Cl 0.816 0.774 0.819
Cl 0.316 0.726 0.181
Cl 0.184 0.274 0.681
Cl 0.684 0.226 0.319
Cl 0.455 0.092 0.117
Cl 0.955 0.408 0.883
Cl 0.545 0.592 0.383
Cl 0.045 0.908 0.617
Cl 0.545 0.908 0.883
Cl 0.045 0.592 0.117
Cl 0.455 0.408 0.617
Cl 0.955 0.092 0.383

=====

Entry 2:
## KNa2PdF6 (PBE)

Data for a relaxed structure of KNa2PdF6.

Results
As for the MP2020-corrected energy: -4.31 eV/atom. The magnetization is 1.00 μB per formula unit. The formation enthalpy at 0 K comes out at -2.26 eV per atom.

a b c (Å): 6.347 6.347 6.347
angles (deg): 60.00 60.00 60.00
Fractional coordinates of all 10 atoms:
K 0.500 0.500 0.500
Na 0.250 0.250 0.250
Na 0.750 0.750 0.750
Pd 0.000 0.000 0.000
F 0.228 0.228 0.772
F 0.228 0.772 0.772
F 0.772 0.772 0.228
F 0.228 0.772 0.228
F 0.772 0.228 0.772
F 0.772 0.228 0.228

=====

Entry 3:
## Mg17Si16O48 (PBE)

Data for a relaxed structure of Mg17Si16O48.

Results
As for the MP2020-corrected energy: -7.46 eV/atom. The magnetization is 0.00 μB per formula unit. The formation enthalpy at 0 K comes out at -3.12 eV per atom.

a b c (Å): 8.933 9.488 10.860
angles (deg): 89.29 90.00 90.00
Fractional coordinates of all 81 atoms:
Mg 0.103 0.011 0.753
Mg 0.739 0.003 0.752
Mg 0.262 0.000 0.500
Mg 0.896 0.000 0.000
Mg 0.262 0.000 0.000
Mg 0.103 0.989 0.247
Mg 0.739 0.997 0.248
Mg 0.896 0.000 0.500
Mg 0.765 0.500 0.500
Mg 0.131 0.500 0.500
Mg 0.441 0.500 0.500
Mg 0.610 0.499 0.248
Mg 0.759 0.500 0.000
Mg 0.252 0.498 0.244
Mg 0.403 0.500 0.000
Mg 0.610 0.501 0.752
Mg 0.252 0.502 0.756
Si 0.589 0.209 0.907
Si 0.410 0.207 0.156
Si 0.412 0.212 0.655
Si 0.593 0.206 0.405
Si 0.091 0.293 0.908
Si 0.087 0.269 0.392
Si 0.913 0.291 0.658
Si 0.904 0.286 0.151
Si 0.091 0.707 0.092
Si 0.904 0.714 0.849
Si 0.087 0.731 0.608
Si 0.913 0.709 0.342
Si 0.412 0.788 0.345
Si 0.410 0.793 0.844
Si 0.589 0.791 0.093
Si 0.593 0.794 0.595
O 0.745 0.123 0.908
O 0.748 0.119 0.404
O 0.256 0.126 0.655
O 0.254 0.120 0.159
O 0.097 0.120 0.915
O 0.900 0.114 0.158
O 0.904 0.119 0.663
O 0.088 0.100 0.407
O 0.482 0.156 0.520
O 0.476 0.152 0.020
O 0.523 0.153 0.270
O 0.523 0.155 0.770
O 0.018 0.336 0.263
O 0.023 0.346 0.771
O 0.973 0.346 0.016
O 0.983 0.337 0.513
O 0.409 0.380 0.161
O 0.414 0.386 0.660
O 0.595 0.382 0.911
O 0.602 0.380 0.411
O 0.247 0.379 0.910
O 0.243 0.362 0.402
O 0.751 0.375 0.155
O 0.761 0.382 0.655
O 0.247 0.621 0.090
O 0.761 0.618 0.345
O 0.751 0.625 0.845
O 0.243 0.638 0.598
O 0.414 0.614 0.340
O 0.409 0.620 0.839
O 0.595 0.618 0.089
O 0.602 0.620 0.589
O 0.023 0.654 0.229
O 0.018 0.664 0.737
O 0.973 0.654 0.984
O 0.983 0.663 0.487
O 0.523 0.847 0.730
O 0.482 0.844 0.480
O 0.476 0.848 0.980
O 0.523 0.845 0.230
O 0.900 0.886 0.842
O 0.097 0.880 0.085
O 0.088 0.900 0.593
O 0.904 0.881 0.337
O 0.254 0.880 0.841
O 0.256 0.874 0.345
O 0.745 0.877 0.092
O 0.748 0.881 0.596

=====

Entry 4:
## ErCdRh2 (PBE)

Data for a relaxed structure of ErCdRh2.

Results
The formation enthalpy at 0 K comes out at -0.60 eV per atom.

a b c (Å): 4.681 4.681 4.681
angles (deg): 60.00 60.00 60.00
Fractional coordinates of all 4 atoms:
Er 0.000 0.000 0.000
Cd 0.500 0.500 0.500
Rh 0.250 0.250 0.250
Rh 0.750 0.750 0.750

=====

Entry 5:
## Zn2PdPt (PBE)

Data for a relaxed structure of Zn2PdPt.

Results
The formation enthalpy at 0 K comes out at -0.56 eV per atom.

a b c (Å): 4.354 4.354 4.354
angles (deg): 60.00 60.00 60.00
Fractional coordinates of all 4 atoms:
Zn 0.250 0.250 0.250
Zn 0.750 0.750 0.750
Pd 0.500 0.500 0.500
Pt 0.000 0.000 0.000

=====

Entry 6:
## Cs2Te13 (PBE)

Data for a relaxed structure of Cs2Te13.

Results
As for the MP2020-corrected energy: -3.47 eV/atom. The magnetization is 0.00 μB per formula unit. The formation enthalpy at 0 K comes out at -0.62 eV per atom.

a b c (Å): 7.395 14.111 23.451
angles (deg): 90.00 90.00 90.00
Fractional coordinates of all 60 atoms:
Cs 0.886 0.250 0.500
Cs 0.114 0.750 0.000
Cs 0.114 0.750 0.500
Cs 0.886 0.250 0.000
Cs 0.643 0.526 0.250
Cs 0.643 0.974 0.750
Cs 0.357 0.026 0.250
Cs 0.357 0.474 0.750
Te 0.296 0.096 0.452
Te 0.296 0.404 0.548
Te 0.704 0.596 0.048
Te 0.704 0.904 0.952
Te 0.704 0.904 0.548
Te 0.704 0.596 0.452
Te 0.296 0.404 0.952
Te 0.296 0.096 0.048
Te 0.065 0.966 0.398
Te 0.065 0.534 0.602
Te 0.935 0.466 0.102
Te 0.935 0.034 0.898
Te 0.935 0.034 0.602
Te 0.935 0.466 0.398
Te 0.065 0.534 0.898
Te 0.065 0.966 0.102
Te 0.693 0.028 0.429
Te 0.693 0.472 0.571
Te 0.307 0.528 0.071
Te 0.307 0.972 0.929
Te 0.307 0.972 0.571
Te 0.307 0.528 0.429
Te 0.693 0.472 0.929
Te 0.693 0.028 0.071
Te 0.742 0.167 0.335
Te 0.742 0.333 0.665
Te 0.258 0.667 0.165
Te 0.258 0.833 0.835
Te 0.258 0.833 0.665
Te 0.258 0.667 0.335
Te 0.742 0.333 0.835
Te 0.742 0.167 0.165
Te 0.545 0.325 0.372
Te 0.545 0.175 0.628
Te 0.455 0.825 0.128
Te 0.455 0.675 0.872
Te 0.455 0.675 0.628
Te 0.455 0.825 0.372
Te 0.545 0.175 0.872
Te 0.545 0.325 0.128
Te 0.189 0.261 0.345
Te 0.189 0.239 0.655
Te 0.811 0.761 0.155
Te 0.811 0.739 0.845
Te 0.811 0.739 0.655
Te 0.811 0.761 0.345
Te 0.189 0.239 0.845
Te 0.189 0.261 0.155
Te 0.110 0.377 0.250
Te 0.110 0.123 0.750
Te 0.890 0.877 0.250
Te 0.890 0.623 0.750

=====

Entry 7:
## Zn3CdS4 (PBE)

Data for a relaxed structure of Zn3CdS4.

Results
As for the MP2020-corrected energy: -3.66 eV/atom. The formation enthalpy at 0 K comes out at -1.00 eV per atom.

a b c (Å): 5.572 5.572 5.572
angles (deg): 90.00 90.00 90.00
Fractional coordinates of all 8 atoms:
Zn 0.000 0.500 0.500
Zn 0.500 0.000 0.500
Zn 0.500 0.500 0.000
Cd 0.000 0.000 0.000
S 0.263 0.263 0.263
S 0.737 0.737 0.263
S 0.263 0.737 0.737
S 0.737 0.263 0.737

=====

Entry 8:
## GaC2NCl4 (PBE)

Data for a relaxed structure of GaC2NCl4.

Results
As for the MP2020-corrected energy: -4.82 eV/atom. The magnetization is 0.00 μB per formula unit. The formation enthalpy at 0 K comes out at -0.17 eV per atom.

a b c (Å): 7.378 10.261 12.217
angles (deg): 90.00 90.00 90.00
Fractional coordinates of all 32 atoms:
Ga 0.250 0.239 0.021
Ga 0.250 0.261 0.521
Ga 0.750 0.761 0.979
Ga 0.750 0.739 0.479
C 0.250 0.785 0.134
C 0.250 0.715 0.634
C 0.750 0.215 0.866
C 0.750 0.285 0.366
C 0.250 0.018 0.200
C 0.250 0.482 0.700
C 0.750 0.982 0.800
C 0.750 0.518 0.300
N 0.250 0.900 0.151
N 0.250 0.600 0.651
N 0.750 0.100 0.849
N 0.750 0.400 0.349
Cl 0.250 0.178 0.854
Cl 0.250 0.322 0.354
Cl 0.750 0.822 0.146
Cl 0.750 0.678 0.646
Cl 0.041 0.118 0.123
Cl 0.459 0.382 0.623
Cl 0.541 0.882 0.877
Cl 0.959 0.618 0.377
Cl 0.959 0.882 0.877
Cl 0.541 0.618 0.377
Cl 0.459 0.118 0.123
Cl 0.041 0.382 0.623
Cl 0.250 0.439 0.063
Cl 0.250 0.061 0.563
Cl 0.750 0.561 0.937
Cl 0.750 0.939 0.437

=====

Entry 9:
## Rb2NaBiBr6 (PBE)

Data for a relaxed structure of Rb2NaBiBr6.

Results
As for the MP2020-corrected energy: -3.35 eV/atom. The magnetization is 0.00 μB per formula unit. The formation enthalpy at 0 K comes out at -1.65 eV per atom.

a b c (Å): 8.172 8.172 8.172
angles (deg): 60.00 60.00 60.00
Fractional coordinates of all 10 atoms:
Rb 0.750 0.750 0.750
Rb 0.250 0.250 0.250
Na 0.500 0.500 0.500
Bi 0.000 0.000 0.000
Br 0.752 0.248 0.248
Br 0.248 0.248 0.752
Br 0.248 0.752 0.752
Br 0.248 0.752 0.248
Br 0.752 0.248 0.752
Br 0.752 0.752 0.248

=====

Entry 10:
## In7Br9 (PBE)

Data for a relaxed structure of In7Br9.

Results
As for the MP2020-corrected energy: -3.14 eV/atom. The magnetization is 0.00 μB per formula unit. The formation enthalpy at 0 K comes out at -1.01 eV per atom.

a b c (Å): 12.921 12.921 12.921
angles (deg): 90.00 90.00 90.00
Fractional coordinates of all 64 atoms:
In 0.818 0.433 0.328
In 0.318 0.067 0.672
In 0.182 0.933 0.172
In 0.067 0.672 0.318
In 0.172 0.182 0.933
In 0.672 0.318 0.067
In 0.433 0.328 0.818
In 0.328 0.818 0.433
In 0.933 0.172 0.182
In 0.567 0.828 0.682
In 0.828 0.682 0.567
In 0.682 0.567 0.828
In 0.182 0.567 0.672
In 0.682 0.933 0.328
In 0.818 0.067 0.828
In 0.933 0.328 0.682
In 0.828 0.818 0.067
In 0.328 0.682 0.933
In 0.567 0.672 0.182
In 0.672 0.182 0.567
In 0.067 0.828 0.818
In 0.433 0.172 0.318
In 0.172 0.318 0.433
In 0.318 0.433 0.172
In 0.500 0.500 0.500
In 0.500 0.000 0.000
In 0.000 0.000 0.500
In 0.000 0.500 0.000
Br 0.948 0.200 0.455
Br 0.448 0.300 0.545
Br 0.052 0.700 0.045
Br 0.300 0.545 0.448
Br 0.045 0.052 0.700
Br 0.545 0.448 0.300
Br 0.200 0.455 0.948
Br 0.455 0.948 0.200
Br 0.700 0.045 0.052
Br 0.800 0.955 0.552
Br 0.955 0.552 0.800
Br 0.552 0.800 0.955
Br 0.052 0.800 0.545
Br 0.552 0.700 0.455
Br 0.948 0.300 0.955
Br 0.829 0.671 0.329
Br 0.700 0.455 0.552
Br 0.455 0.552 0.700
Br 0.800 0.545 0.052
Br 0.545 0.052 0.800
Br 0.300 0.955 0.948
Br 0.200 0.045 0.448
Br 0.045 0.448 0.200
Br 0.448 0.200 0.045
Br 0.171 0.329 0.671
Br 0.329 0.671 0.171
Br 0.671 0.171 0.329
Br 0.829 0.829 0.829
Br 0.000 0.000 0.000
Br 0.500 0.000 0.500
Br 0.500 0.500 0.000
Br 0.000 0.500 0.500
Br 0.171 0.171 0.171
Br 0.329 0.829 0.671
Br 0.671 0.329 0.829
Br 0.955 0.948 0.300

=====

Entry 11:
## ZnNi3C (PBE)

Data for a relaxed structure of ZnNi3C.

Results
The magnetization is 0.00 μB per formula unit. The formation enthalpy at 0 K comes out at -0.06 eV per atom.

a b c (Å): 3.766 3.766 3.766
angles (deg): 90.00 90.00 90.00
Fractional coordinates of all 5 atoms:
Zn 0.000 0.000 0.000
Ni 0.000 0.500 0.500
Ni 0.500 0.500 0.000
Ni 0.500 0.000 0.500
C 0.500 0.500 0.500